(1)
Material: SrFe5P5O22
Method: DFT, PBE+U
State: optimized geometry

Properties
As for the space-group type: No. 2. As for the crystal system: triclinic. The formation energy from the elements comes out at -1.99 eV/atom. As for the size of the total moment: 50.00 μB/cell.

a b c (Å): 6.5385 8.0180 15.8086
angles (deg): 95.48 90.61 99.86
Sites, in units of the cell vectors:
Sr 0.0259 0.0981 0.1353
Sr 0.9741 0.9019 0.8647
Fe 0.0324 0.7059 0.4910
Fe 0.2830 0.2128 0.7513
Fe 0.3188 0.7342 0.0138
Fe 0.3757 0.3943 0.2870
Fe 0.4053 0.8912 0.6317
Fe 0.5947 0.1088 0.3683
Fe 0.6243 0.6057 0.7130
Fe 0.6812 0.2658 0.9862
Fe 0.7170 0.7872 0.2487
Fe 0.9676 0.2941 0.5090
P 0.0844 0.0202 0.3610
P 0.1039 0.5525 0.6791
P 0.2012 0.3140 0.9564
P 0.4644 0.2787 0.5598
P 0.4987 0.0740 0.1528
P 0.5013 0.9260 0.8472
P 0.5356 0.7213 0.4402
P 0.7988 0.6860 0.0436
P 0.8961 0.4475 0.3209
P 0.9156 0.9798 0.6390
O 0.0038 0.7652 0.0025
O 0.0101 0.0437 0.7280
O 0.0198 0.5201 0.5828
O 0.0520 0.3699 0.2651
O 0.0743 0.8717 0.5963
O 0.1094 0.8733 0.4121
O 0.1534 0.3863 0.7070
O 0.1830 0.2249 0.8642
O 0.2270 0.5072 0.9570
O 0.2590 0.2857 0.5147
O 0.3001 0.1340 0.3529
O 0.3167 0.6771 0.6813
O 0.3232 0.8618 0.9058
O 0.3349 0.5835 0.1335
O 0.3374 0.9322 0.1041
O 0.3826 0.2172 0.1854
O 0.3834 0.2578 0.0023
O 0.3834 0.7767 0.5102
O 0.4055 0.9967 0.7684
O 0.4204 0.1408 0.6271
O 0.4323 0.5569 0.3916
O 0.4412 0.6075 0.2077
O 0.5588 0.3925 0.7923
O 0.5677 0.4431 0.6084
O 0.5796 0.8592 0.3729
O 0.5945 0.0033 0.2316
O 0.6166 0.2233 0.4898
O 0.6166 0.7422 0.9977
O 0.6174 0.7828 0.8146
O 0.6626 0.0678 0.8959
O 0.6651 0.4165 0.8665
O 0.6768 0.1382 0.0942
O 0.6833 0.3229 0.3187
O 0.6999 0.8660 0.6471
O 0.7410 0.7143 0.4853
O 0.7730 0.4928 0.0430
O 0.8170 0.7751 0.1358
O 0.8466 0.6137 0.2930
O 0.8906 0.1267 0.5879
O 0.9257 0.1283 0.4037
O 0.9480 0.6301 0.7349
O 0.9802 0.4799 0.4172
O 0.9899 0.9563 0.2720
O 0.9962 0.2348 0.9975

---

(2)
Material: SrFe3P3O13
Method: DFT, PBE+U
State: optimized geometry

Properties
As for the space-group type: No. 11. As for the crystal system: monoclinic. The formation energy from the elements comes out at -2.52 eV/atom. As for the size of the total moment: 10.00 μB/cell.

a b c (Å): 7.7025 6.4341 10.4758
angles (deg): 90.00 99.56 90.00
Sites, in units of the cell vectors:
Sr 0.1637 0.2500 0.2012
Sr 0.8363 0.7500 0.7988
Fe 0.1495 0.2500 0.8019
Fe 0.2894 0.7500 0.4418
Fe 0.5000 0.0000 0.0000
Fe 0.5000 0.5000 0.0000
Fe 0.7106 0.2500 0.5582
Fe 0.8505 0.7500 0.1981
P 0.1876 0.7500 0.1165
P 0.2468 0.7500 0.7630
P 0.2837 0.2500 0.5191
P 0.7163 0.7500 0.4809
P 0.7532 0.2500 0.2370
P 0.8124 0.2500 0.8835
O 0.0036 0.2500 0.9580
O 0.1326 0.5616 0.7877
O 0.1326 0.9384 0.7877
O 0.1512 0.7500 0.2596
O 0.1550 0.2500 0.6150
O 0.2504 0.0593 0.4259
O 0.2504 0.4407 0.4259
O 0.2909 0.5522 0.0920
O 0.2909 0.9478 0.0920
O 0.3004 0.7500 0.6286
O 0.3776 0.2500 0.9104
O 0.4207 0.7500 0.8672
O 0.4758 0.2500 0.5924
O 0.5242 0.7500 0.4076
O 0.5793 0.2500 0.1328
O 0.6224 0.7500 0.0896
O 0.6996 0.2500 0.3714
O 0.7091 0.0522 0.9080
O 0.7091 0.4478 0.9080
O 0.7496 0.5593 0.5741
O 0.7496 0.9407 0.5741
O 0.8450 0.7500 0.3850
O 0.8488 0.2500 0.7404
O 0.8674 0.0616 0.2123
O 0.8674 0.4384 0.2123
O 0.9964 0.7500 0.0420

---

(3)
Material: SrFe3P4O14
Method: DFT, PBE+U
State: optimized geometry

Properties
As for the space-group type: No. 14. As for the crystal system: monoclinic. The formation energy from the elements comes out at -2.61 eV/atom. As for the size of the total moment: 24.00 μB/cell.

a b c (Å): 7.6576 7.8745 9.7101
angles (deg): 90.00 112.25 90.00
Sites, in units of the cell vectors:
Sr 0.0000 0.0000 0.0000
Sr 0.0000 0.5000 0.5000
Fe 0.3113 0.1243 0.4735
Fe 0.3113 0.3757 0.9735
Fe 0.5000 0.0000 0.0000
Fe 0.5000 0.5000 0.5000
Fe 0.6887 0.6243 0.0265
Fe 0.6887 0.8757 0.5265
P 0.1038 0.0546 0.7036
P 0.1038 0.4454 0.2036
P 0.3875 0.7033 0.1922
P 0.3875 0.7967 0.6922
P 0.6125 0.2033 0.3078
P 0.6125 0.2967 0.8078
P 0.8962 0.5546 0.7964
P 0.8962 0.9454 0.2964
O 0.0954 0.5104 0.8058
O 0.0954 0.9896 0.3058
O 0.1201 0.1800 0.5898
O 0.1201 0.3200 0.0898
O 0.1847 0.6279 0.1776
O 0.1847 0.8721 0.6776
O 0.2247 0.1098 0.8661
O 0.2247 0.3902 0.3661
O 0.3405 0.6268 0.6102
O 0.3405 0.8732 0.1102
O 0.4721 0.5785 0.1131
O 0.4721 0.9215 0.6131
O 0.4994 0.7136 0.3608
O 0.4994 0.7864 0.8608
O 0.5006 0.2136 0.1392
O 0.5006 0.2864 0.6392
O 0.5279 0.0785 0.3869
O 0.5279 0.4215 0.8869
O 0.6595 0.1268 0.8898
O 0.6595 0.3732 0.3898
O 0.7753 0.6098 0.6339
O 0.7753 0.8902 0.1339
O 0.8153 0.1279 0.3224
O 0.8153 0.3721 0.8224
O 0.8799 0.6800 0.9102
O 0.8799 0.8200 0.4102
O 0.9046 0.0104 0.6942
O 0.9046 0.4896 0.1942

---

(4)
Material: SrZnFeP2O8
Method: DFT, PBE+U
State: optimized geometry

Properties
As for the space-group type: No. 2. As for the crystal system: triclinic. The formation energy from the elements comes out at -2.66 eV/atom. As for the size of the total moment: 8.00 μB/cell.

a b c (Å): 5.5289 6.9525 9.5171
angles (deg): 107.53 105.54 98.08
Sites, in units of the cell vectors:
Sr 0.2006 0.2475 0.4499
Sr 0.7994 0.7525 0.5501
Zn 0.3550 0.2387 0.8585
Zn 0.6450 0.7613 0.1415
Fe 0.0709 0.7878 0.9449
Fe 0.9291 0.2122 0.0551
P 0.1611 0.6902 0.2704
P 0.4560 0.7775 0.8001
P 0.5440 0.2225 0.1999
P 0.8389 0.3098 0.7296
O 0.0237 0.3017 0.8866
O 0.0955 0.8408 0.4024
O 0.1035 0.4643 0.2657
O 0.2579 0.9214 0.8070
O 0.2603 0.0868 0.1389
O 0.3889 0.6293 0.6330
O 0.4219 0.6655 0.9176
O 0.4508 0.7608 0.2861
O 0.5492 0.2392 0.7139
O 0.5781 0.3345 0.0824
O 0.6111 0.3707 0.3670
O 0.7397 0.9132 0.8611
O 0.7421 0.0786 0.1930
O 0.8965 0.5357 0.7343
O 0.9045 0.1592 0.5976
O 0.9763 0.6983 0.1134

---

(5)
Material: Fe7TeP12O48
Method: DFT, PBE+U
State: optimized geometry

Properties
As for the space-group type: No. 1. As for the crystal system: triclinic. The formation energy from the elements comes out at -2.11 eV/atom. As for the size of the total moment: 35.07 μB/cell.

a b c (Å): 8.7698 8.7786 12.1884
angles (deg): 89.99 89.86 89.95
Sites, in units of the cell vectors:
Fe 0.0000 0.0000 0.0000
Fe 0.9996 0.4987 0.7404
Fe 0.4255 0.9999 0.2387
Fe 0.4275 0.4969 0.5041
Fe 0.4974 0.4961 0.9998
Fe 0.9260 0.4971 0.2408
Fe 0.9284 0.9970 0.5022
Te 0.4971 0.9979 0.7374
P 0.0686 0.1402 0.2653
P 0.0692 0.6404 0.4769
P 0.2124 0.7125 0.1211
P 0.2137 0.2103 0.6205
P 0.3545 0.1404 0.9738
P 0.3581 0.6420 0.7653
P 0.5679 0.3549 0.2659
P 0.5696 0.8552 0.4727
P 0.7118 0.7835 0.1219
P 0.7144 0.2839 0.6208
P 0.8528 0.8539 0.7647
P 0.8570 0.3559 0.9758
O 0.0218 0.5857 0.5915
O 0.0255 0.0841 0.1504
O 0.0563 0.3155 0.2721
O 0.0565 0.8149 0.4675
O 0.1111 0.8108 0.0458
O 0.1155 0.3098 0.6966
O 0.1156 0.6086 0.1953
O 0.1178 0.1042 0.5495
O 0.1914 0.6041 0.7897
O 0.1924 0.0925 0.9440
O 0.2343 0.5924 0.4528
O 0.2349 0.0966 0.2912
O 0.3057 0.1018 0.7035
O 0.3096 0.6095 0.0475
O 0.3118 0.8121 0.1965
O 0.3235 0.3029 0.5506
O 0.3657 0.8252 0.7759
O 0.3714 0.3137 0.9646
O 0.4046 0.0804 0.0854
O 0.4061 0.5927 0.6505
O 0.4549 0.9317 0.3952
O 0.4580 0.4225 0.3514
O 0.4696 0.5774 0.8495
O 0.4754 0.0663 0.8890
O 0.5225 0.4135 0.1518
O 0.5233 0.9055 0.5941
O 0.5549 0.6809 0.4663
O 0.5573 0.1790 0.2702
O 0.6049 0.1869 0.7009
O 0.6124 0.6849 0.0464
O 0.6142 0.8849 0.1969
O 0.6180 0.3893 0.5501
O 0.6799 0.8990 0.7969
O 0.6909 0.4011 0.9513
O 0.7341 0.3998 0.2916
O 0.7343 0.9016 0.4494
O 0.8083 0.1797 0.5476
O 0.8093 0.3810 0.6992
O 0.8094 0.8883 0.0486
O 0.8136 0.6849 0.1967
O 0.8612 0.6794 0.7739
O 0.8694 0.1811 0.9695
O 0.8879 0.9118 0.6504
O 0.9009 0.4126 0.0906
O 0.9582 0.0710 0.3495
O 0.9583 0.9260 0.8492
O 0.9594 0.5690 0.3932
O 0.9680 0.4272 0.8926

---

(6)
Material: Ti3Fe2TeP6O24
Method: DFT, PBE+U
State: optimized geometry

Properties
As for the space-group type: No. 146. As for the crystal system: trigonal. The formation energy from the elements comes out at -2.64 eV/atom. As for the size of the total moment: 10.00 μB/cell.

a b c (Å): 8.6473 8.6473 8.6473
angles (deg): 61.30 61.30 61.30
Sites, in units of the cell vectors:
Ti 0.0000 0.0000 0.0000
Ti 0.2111 0.2111 0.2111
Ti 0.7122 0.7122 0.7122
Fe 0.3517 0.3517 0.3517
Fe 0.8557 0.8557 0.8557
Te 0.5006 0.5006 0.5006
P 0.0983 0.8174 0.3983
P 0.3059 0.6079 0.9091
P 0.3983 0.0983 0.8174
P 0.6079 0.9091 0.3059
P 0.8174 0.3983 0.0983
P 0.9091 0.3060 0.6079
O 0.0271 0.8644 0.2440
O 0.0997 0.2927 0.4479
O 0.1131 0.7653 0.9247
O 0.1727 0.9679 0.3560
O 0.2440 0.0271 0.8644
O 0.2532 0.6197 0.4070
O 0.2927 0.4479 0.0997
O 0.3321 0.5405 0.7584
O 0.3560 0.1727 0.9679
O 0.4070 0.2532 0.6197
O 0.4479 0.0997 0.2927
O 0.4690 0.6682 0.8576
O 0.5405 0.7584 0.3321
O 0.5933 0.9439 0.8011
O 0.6197 0.4070 0.2532
O 0.6682 0.8576 0.4690
O 0.7584 0.3321 0.5405
O 0.7653 0.9247 0.1131
O 0.8011 0.5933 0.9439
O 0.8576 0.4690 0.6682
O 0.8644 0.2440 0.0271
O 0.9247 0.1131 0.7653
O 0.9439 0.8011 0.5933
O 0.9679 0.3560 0.1727

---

(7)
Material: V3Fe2TeP6O24
Method: DFT, PBE+U
State: optimized geometry

Properties
As for the space-group type: No. 146. As for the crystal system: trigonal. The formation energy from the elements comes out at -2.46 eV/atom. As for the size of the total moment: 13.00 μB/cell.

a b c (Å): 8.6446 8.6446 8.6446
angles (deg): 60.94 60.94 60.94
Sites, in units of the cell vectors:
V 0.0000 0.0000 0.0000
V 0.2130 0.2130 0.2130
V 0.4992 0.4992 0.4992
Fe 0.3567 0.3567 0.3567
Fe 0.8610 0.8610 0.8610
Te 0.7122 0.7122 0.7122
P 0.1146 0.3938 0.8152
P 0.3030 0.9055 0.6039
P 0.3938 0.8152 0.1146
P 0.6039 0.3030 0.9055
P 0.8152 0.1146 0.3938
P 0.9055 0.6039 0.3030
O 0.0441 0.2443 0.8542
O 0.0994 0.4433 0.2872
O 0.1121 0.9206 0.7637
O 0.1834 0.3503 0.9707
O 0.2443 0.8542 0.0441
O 0.2706 0.4129 0.6192
O 0.2872 0.0994 0.4433
O 0.3503 0.9707 0.1834
O 0.3534 0.7420 0.5461
O 0.4129 0.6192 0.2706
O 0.4433 0.2872 0.0994
O 0.4543 0.8829 0.6677
O 0.5461 0.3534 0.7420
O 0.5925 0.8068 0.9578
O 0.6192 0.2706 0.4129
O 0.6677 0.4543 0.8829
O 0.7420 0.5461 0.3534
O 0.7637 0.1121 0.9206
O 0.8068 0.9578 0.5925
O 0.8542 0.0441 0.2443
O 0.8829 0.6677 0.4543
O 0.9206 0.7637 0.1121
O 0.9578 0.5925 0.8068
O 0.9707 0.1834 0.3503

---

(8)
Material: Ti4FeP6O24
Method: DFT, PBE+U
State: optimized geometry

Properties
As for the space-group type: No. 148. As for the crystal system: trigonal. The formation energy from the elements comes out at -2.95 eV/atom. The energy above the lowest structure with this stoichiometry comes out at 3 meV/atom. As for the size of the total moment: 4.00 μB/cell.

a b c (Å): 8.6569 8.6569 8.6569
angles (deg): 59.94 59.94 59.94
Sites, in units of the cell vectors:
Ti 0.1352 0.1352 0.1352
Ti 0.3534 0.3534 0.3534
Ti 0.6466 0.6466 0.6466
Ti 0.8648 0.8648 0.8648
Fe 0.5000 0.5000 0.5000
P 0.0441 0.4685 0.7469
P 0.2531 0.9559 0.5315
P 0.4685 0.7469 0.0441
P 0.5315 0.2531 0.9559
P 0.7469 0.0441 0.4685
P 0.9559 0.5315 0.2531
O 0.0087 0.6408 0.7835
O 0.0483 0.2875 0.9204
O 0.0796 0.9517 0.7125
O 0.1174 0.4912 0.3147
O 0.2165 0.9913 0.3592
O 0.2398 0.4360 0.5853
O 0.2875 0.9204 0.0483
O 0.3147 0.1174 0.4912
O 0.3592 0.2165 0.9913
O 0.4147 0.7602 0.5640
O 0.4360 0.5853 0.2398
O 0.4912 0.3147 0.1174
O 0.5088 0.6853 0.8826
O 0.5640 0.4147 0.7602
O 0.5853 0.2398 0.4360
O 0.6408 0.7835 0.0087
O 0.6853 0.8826 0.5088
O 0.7125 0.0796 0.9517
O 0.7602 0.5640 0.4147
O 0.7835 0.0087 0.6408
O 0.8826 0.5088 0.6853
O 0.9204 0.0483 0.2875
O 0.9517 0.7125 0.0796
O 0.9913 0.3592 0.2165